No. 1
Here is a relaxed Na6Nb3AlSi6O24 crystal from Materials Project. Energies are from GGA-PBE.

Output
E_form   -2.963 eV per atom
Size of the total moment   0.00 μB per formula unit

```
Na6Nb3AlSi6O24
1.0
12.962 0.037 -8.676
0.002 9.025 -0.035
-0.153 -0.037 9.005
Na Nb Al Si O
12 6 2 12 48
Direct
0.250 0.750 0.999 Na
0.744 0.747 0.483 Na
0.750 0.250 0.999 Na
0.244 0.247 0.483 Na
0.505 0.105 0.764 Na
0.499 0.874 0.232 Na
0.005 0.605 0.764 Na
0.999 0.374 0.232 Na
0.801 0.935 0.212 Na
0.190 0.069 0.804 Na
0.301 0.435 0.212 Na
0.690 0.569 0.804 Na
0.107 0.752 0.565 Nb
0.894 0.754 0.928 Nb
0.892 0.250 0.433 Nb
0.607 0.252 0.565 Nb
0.394 0.254 0.928 Nb
0.392 0.750 0.433 Nb
0.106 0.247 0.068 Al
0.606 0.747 0.068 Al
0.000 0.970 0.756 Si
0.008 0.045 0.251 Si
0.500 0.470 0.756 Si
0.508 0.545 0.251 Si
0.362 0.886 0.769 Si
0.643 0.894 0.754 Si
0.643 0.102 0.239 Si
0.351 0.108 0.251 Si
0.862 0.386 0.769 Si
0.143 0.394 0.754 Si
0.143 0.602 0.239 Si
0.851 0.608 0.251 Si
0.148 0.575 0.737 O
0.848 0.570 0.758 O
0.851 0.426 0.259 O
0.153 0.423 0.240 O
0.648 0.075 0.737 O
0.348 0.070 0.758 O
0.351 0.926 0.259 O
0.653 0.923 0.240 O
0.430 0.563 0.564 O
0.571 0.580 0.922 O
0.571 0.439 0.434 O
0.437 0.425 0.082 O
0.930 0.063 0.564 O
0.071 0.080 0.922 O
0.071 0.939 0.434 O
0.937 0.925 0.082 O
0.257 0.821 0.749 O
0.740 0.811 0.760 O
0.743 0.177 0.251 O
0.255 0.191 0.234 O
0.757 0.321 0.749 O
0.240 0.311 0.760 O
0.243 0.677 0.251 O
0.755 0.691 0.234 O
0.359 0.844 0.586 O
0.643 0.862 0.930 O
0.639 0.153 0.412 O
0.356 0.143 0.075 O
0.859 0.344 0.586 O
0.143 0.362 0.930 O
0.139 0.653 0.412 O
0.856 0.643 0.075 O
0.468 0.830 0.947 O
0.536 0.830 0.567 O
0.536 0.166 0.058 O
0.462 0.173 0.431 O
0.968 0.330 0.947 O
0.036 0.330 0.567 O
0.036 0.666 0.058 O
0.962 0.673 0.431 O
0.081 0.858 0.742 O
0.919 0.855 0.759 O
0.918 0.141 0.254 O
0.083 0.153 0.237 O
0.581 0.358 0.742 O
0.419 0.355 0.759 O
0.418 0.641 0.254 O
0.583 0.653 0.237 O
```

=====

No. 2
Here is a relaxed SnP3O9 crystal from Materials Project. Energies are from GGA-PBE.

Output
Relative energy among the computed polymorphs   78 meV per atom
E_form   -2.395 eV per atom
Size of the total moment   0.00 μB per formula unit

```
SnP3O9
1.0
6.645 0.000 0.000
0.884 7.019 0.000
1.303 0.728 7.704
Sn P O
2 6 18
Direct
0.005 0.217 0.155 Sn
0.995 0.783 0.845 Sn
0.357 0.376 0.786 P
0.176 0.163 0.551 P
0.824 0.837 0.449 P
0.174 0.693 0.210 P
0.826 0.307 0.790 P
0.643 0.624 0.214 P
0.397 0.655 0.257 O
0.702 0.412 0.212 O
0.795 0.030 0.347 O
0.205 0.970 0.653 O
0.298 0.588 0.788 O
0.899 0.479 0.844 O
0.944 0.262 0.601 O
0.144 0.871 0.081 O
0.056 0.738 0.399 O
0.715 0.763 0.064 O
0.213 0.167 0.356 O
0.856 0.129 0.919 O
0.312 0.312 0.605 O
0.285 0.237 0.936 O
0.101 0.521 0.156 O
0.603 0.345 0.743 O
0.688 0.688 0.395 O
0.787 0.833 0.644 O
```

=====

No. 3
Here is a relaxed BiTeN crystal from Materials Project. Energies are from GGA-PBE.

Output
E_form   0.312 eV per atom
Size of the total moment   0.00 μB per formula unit

```
BiTeN
1.0
4.073 0.000 0.000
0.000 4.073 0.000
0.000 0.000 9.926
Bi Te N
2 2 2
Direct
0.500 0.000 0.112 Bi
0.000 0.500 0.888 Bi
0.500 0.000 0.546 Te
0.000 0.500 0.454 Te
0.500 0.500 0.000 N
0.000 0.000 0.000 N
```

=====

No. 4
Here is a relaxed Er2OsC2 crystal from Materials Project. Energies are from GGA-PBE.

Output
E_form   -0.408 eV per atom

```
Er2OsC2
1.0
-4.662 1.814 -0.862
-2.200 -3.240 5.081
1.922 7.654 5.713
Er Os C
8 4 8
Direct
0.250 0.684 0.553 Er
0.750 0.316 0.447 Er
0.750 0.816 0.053 Er
0.250 0.184 0.947 Er
0.250 0.525 0.220 Er
0.750 0.475 0.780 Er
0.750 0.975 0.720 Er
0.250 0.025 0.280 Er
0.250 0.726 0.866 Os
0.750 0.274 0.134 Os
0.750 0.774 0.366 Os
0.250 0.226 0.634 Os
0.250 0.462 0.758 C
0.750 0.538 0.242 C
0.750 0.038 0.258 C
0.250 0.962 0.742 C
0.250 0.826 0.055 C
0.750 0.174 0.945 C
0.750 0.674 0.555 C
0.250 0.326 0.445 C
```

=====

No. 5
Here is a relaxed Na2TiF5 crystal from Materials Project. Energies are from GGA-PBE.

Output
E_form   -3.332 eV per atom

```
Na2TiF5
1.0
5.430 0.000 0.000
0.000 7.560 0.000
0.000 3.356 10.768
Na Ti F
8 4 20
Direct
0.944 0.348 0.316 Na
0.444 0.652 0.184 Na
0.056 0.652 0.684 Na
0.556 0.348 0.816 Na
0.489 0.147 0.137 Na
0.989 0.853 0.363 Na
0.511 0.853 0.863 Na
0.011 0.147 0.637 Na
0.500 0.500 0.500 Ti
0.000 0.500 0.000 Ti
0.500 0.000 0.500 Ti
0.000 0.000 0.000 Ti
0.742 0.487 0.629 F
0.242 0.513 0.871 F
0.258 0.513 0.371 F
0.758 0.487 0.129 F
0.723 0.618 0.360 F
0.223 0.382 0.140 F
0.277 0.382 0.640 F
0.777 0.618 0.860 F
0.655 0.252 0.496 F
0.155 0.748 0.004 F
0.345 0.748 0.504 F
0.845 0.252 0.996 F
0.844 0.053 0.830 F
0.344 0.947 0.670 F
0.156 0.947 0.170 F
0.656 0.053 0.330 F
0.695 0.893 0.072 F
0.195 0.107 0.428 F
0.305 0.107 0.928 F
0.805 0.893 0.572 F
```

=====

No. 6
Here is a relaxed NaNb2H7O9 crystal from Materials Project. Energies are from GGA-PBE.

Output
E_form   -2.014 eV per atom
Size of the total moment   0.00 μB per formula unit

```
NaNb2H7O9
1.0
-4.931 -0.019 -4.218
-6.410 -2.320 7.504
-3.336 11.836 3.846
Na Nb H O
4 8 28 36
Direct
0.251 0.468 0.341 Na
0.751 0.532 0.159 Na
0.749 0.532 0.659 Na
0.249 0.468 0.841 Na
0.280 0.833 0.405 Nb
0.780 0.167 0.095 Nb
0.720 0.167 0.595 Nb
0.220 0.833 0.905 Nb
0.182 0.000 0.608 Nb
0.682 0.000 0.892 Nb
0.818 0.000 0.392 Nb
0.318 0.000 0.108 Nb
0.788 0.872 0.612 H
0.288 0.128 0.888 H
0.212 0.128 0.388 H
0.712 0.872 0.112 H
0.508 0.224 0.363 H
0.008 0.776 0.137 H
0.492 0.776 0.637 H
0.992 0.224 0.863 H
0.413 0.224 0.251 H
0.913 0.776 0.249 H
0.587 0.776 0.749 H
0.087 0.224 0.751 H
0.384 0.381 0.557 H
0.884 0.619 0.943 H
0.616 0.619 0.443 H
0.116 0.381 0.057 H
0.164 0.314 0.559 H
0.664 0.686 0.941 H
0.836 0.686 0.441 H
0.336 0.314 0.059 H
0.340 0.652 0.135 H
0.840 0.348 0.365 H
0.660 0.348 0.865 H
0.160 0.652 0.635 H
0.338 0.503 0.115 H
0.838 0.497 0.385 H
0.662 0.497 0.885 H
0.162 0.503 0.615 H
0.253 0.825 0.560 O
0.753 0.175 0.940 O
0.747 0.175 0.440 O
0.247 0.825 0.060 O
0.026 0.171 0.618 O
0.526 0.829 0.882 O
0.974 0.829 0.382 O
0.474 0.171 0.118 O
0.192 0.927 0.750 O
0.692 0.073 0.750 O
0.808 0.073 0.250 O
0.308 0.927 0.250 O
0.439 0.083 0.585 O
0.939 0.917 0.915 O
0.561 0.917 0.415 O
0.061 0.083 0.085 O
0.358 0.665 0.397 O
0.858 0.335 0.103 O
0.642 0.335 0.603 O
0.142 0.665 0.897 O
0.863 0.950 0.571 O
0.363 0.050 0.929 O
0.137 0.050 0.429 O
0.637 0.950 0.071 O
0.382 0.249 0.320 O
0.882 0.751 0.180 O
0.618 0.751 0.680 O
0.118 0.249 0.820 O
0.240 0.399 0.533 O
0.740 0.601 0.967 O
0.760 0.601 0.467 O
0.260 0.399 0.033 O
0.382 0.561 0.168 O
0.882 0.439 0.332 O
0.618 0.439 0.832 O
0.118 0.561 0.668 O
```

=====

No. 7
Here is a relaxed CsAgB10H10 crystal from Materials Project. Energies are from GGA-PBE.

Output
E_form   -0.255 eV per atom
Size of the total moment   0.00 μB per formula unit

```
CsAgB10H10
1.0
-5.192 -6.313 4.380
-3.223 -3.498 -8.862
8.386 -7.075 -0.257
Cs Ag B H
4 4 40 40
Direct
0.750 0.821 0.439 Cs
0.250 0.179 0.561 Cs
0.250 0.821 0.061 Cs
0.750 0.179 0.939 Cs
0.500 0.489 0.250 Ag
0.000 0.511 0.750 Ag
0.500 0.511 0.750 Ag
0.000 0.489 0.250 Ag
0.750 0.431 0.360 B
0.250 0.569 0.640 B
0.250 0.431 0.140 B
0.750 0.569 0.860 B
0.750 0.431 0.516 B
0.250 0.569 0.484 B
0.250 0.431 0.984 B
0.750 0.569 0.016 B
0.611 0.346 0.426 B
0.111 0.654 0.574 B
0.389 0.346 0.074 B
0.889 0.654 0.926 B
0.389 0.654 0.574 B
0.889 0.346 0.426 B
0.611 0.654 0.926 B
0.111 0.346 0.074 B
0.750 0.261 0.336 B
0.250 0.739 0.664 B
0.250 0.261 0.164 B
0.750 0.739 0.836 B
0.652 0.293 0.579 B
0.152 0.707 0.421 B
0.348 0.293 0.921 B
0.848 0.707 0.079 B
0.348 0.707 0.421 B
0.848 0.293 0.579 B
0.652 0.707 0.079 B
0.152 0.293 0.921 B
0.652 0.174 0.452 B
0.152 0.826 0.548 B
0.348 0.174 0.048 B
0.848 0.826 0.952 B
0.348 0.826 0.548 B
0.848 0.174 0.452 B
0.652 0.826 0.952 B
0.152 0.174 0.048 B
0.750 0.151 0.582 B
0.250 0.849 0.418 B
0.250 0.151 0.918 B
0.750 0.849 0.082 B
0.750 0.527 0.293 H
0.250 0.473 0.707 H
0.250 0.527 0.207 H
0.750 0.473 0.793 H
0.750 0.534 0.571 H
0.250 0.466 0.429 H
0.250 0.534 0.929 H
0.750 0.466 0.071 H
0.483 0.369 0.410 H
0.983 0.631 0.590 H
0.517 0.369 0.090 H
0.017 0.631 0.910 H
0.517 0.631 0.590 H
0.017 0.369 0.410 H
0.483 0.631 0.910 H
0.983 0.369 0.090 H
0.750 0.218 0.235 H
0.250 0.782 0.765 H
0.250 0.218 0.265 H
0.750 0.782 0.735 H
0.565 0.314 0.660 H
0.065 0.686 0.340 H
0.435 0.314 0.840 H
0.935 0.686 0.160 H
0.435 0.686 0.340 H
0.935 0.314 0.660 H
0.565 0.686 0.160 H
0.065 0.314 0.840 H
0.565 0.092 0.421 H
0.065 0.908 0.579 H
0.435 0.092 0.079 H
0.935 0.908 0.921 H
0.435 0.908 0.579 H
0.935 0.092 0.421 H
0.565 0.908 0.921 H
0.065 0.092 0.079 H
0.750 0.059 0.652 H
0.250 0.941 0.348 H
0.250 0.059 0.848 H
0.750 0.941 0.152 H
```

=====

No. 8
Here is a relaxed KCuC2 crystal from Materials Project. Energies are from GGA-PBE.

Output
E_form   0.276 eV per atom
Size of the total moment   0.00 μB per formula unit

```
KCuC2
1.0
-3.216 -3.254 -1.796
0.515 -2.743 4.047
-5.807 3.880 3.369
K Cu C
2 2 4
Direct
0.000 0.000 0.750 K
0.000 0.000 0.250 K
0.500 0.500 0.000 Cu
0.500 0.500 0.500 Cu
0.872 0.500 0.500 C
0.500 0.872 0.000 C
0.128 0.500 0.500 C
0.500 0.128 0.000 C
```